Below is a relaxed structure of SrMg14BiO16, with properties calculated at the PBE-GGA level.

Results
Calculated volume: 11.08 Å³ per atom
SG: P4/mmm
Formation enthalpy at 0 K: -2.719 eV per atom
Final energy: -5.724 eV per atom

```
SrMg14BiO16
1.0
-0.741 5.109 7.162
-8.785 -0.815 -0.328
0.243 -3.685 2.654
O Mg Bi Sr
16 14 1 1
Direct
0.000 0.731 0.000
0.500 0.767 0.000
0.731 0.000 0.000
0.251 0.251 0.500
0.500 0.233 0.000
0.000 0.500 0.500
0.000 0.000 0.500
0.269 0.000 0.000
0.749 0.749 0.500
0.251 0.749 0.500
0.500 0.000 0.500
0.233 0.500 0.000
0.500 0.500 0.500
0.000 0.269 0.000
0.749 0.251 0.500
0.767 0.500 0.000
0.000 0.500 0.000
0.248 0.248 0.000
0.248 0.752 0.000
0.000 0.742 0.500
0.500 0.761 0.500
0.258 0.000 0.500
0.500 0.000 0.000
0.752 0.752 0.000
0.500 0.239 0.500
0.000 0.258 0.500
0.742 0.000 0.500
0.761 0.500 0.500
0.752 0.248 0.000
0.239 0.500 0.500
0.500 0.500 0.000
0.000 0.000 0.000
```

***

Below is a relaxed structure of Ca2MgCd, with properties calculated at the PBE-GGA level.

Results
Calculated volume: 29.69 Å³ per atom
SG: Fm-3m
Formation enthalpy at 0 K: -0.207 eV per atom
Final energy: -1.840 eV per atom

```
Ca2MgCd
1.0
-2.268 -4.411 -2.416
-4.526 -2.304 2.155
-4.841 0.466 -2.606
Cd Ca Mg
1 2 1
Direct
0.500 0.500 0.500
0.250 0.250 0.250
0.750 0.750 0.750
0.000 0.000 0.000
```

***

Computed density (g/cm³) in order:
4.18; 3.03